(a)
The following is a DFT calculation (PBE with a Hubbard U) of a relaxed structure of MgVCrP2O8F2.

Cell lengths 5.2231, 5.4080, 7.3957 Å; angles 107.55, 109.09, 97.22 degrees
Element x y z (fractional)
Mg: 0.0000 0.0000 0.0000
V: 0.2655 0.6140 0.1869
Cr: 0.2629 0.6040 0.6670
P: 0.5747 0.2523 0.9334
P: 0.9290 0.9710 0.4156
O: 0.0233 0.8367 0.5737
O: 0.0933 0.9182 0.2655
O: 0.3556 0.2632 0.0370
O: 0.5288 0.4120 0.7934
O: 0.5764 0.9520 0.8315
O: 0.6201 0.8489 0.2667
O: 0.8840 0.3548 0.0960
O: 0.9671 0.2711 0.5186
F: 0.1378 0.6831 0.9083
F: 0.3900 0.5417 0.4446

**Volume**: 12.2 A^3/atom

---

(b)
The following is a DFT calculation (PBE with a Hubbard U) of a relaxed structure of MgVCrP2O8F2.

Cell lengths 5.1477, 5.4639, 7.3937 Å; angles 110.88, 108.11, 91.84 degrees
Element x y z (fractional)
Mg: 0.0000 0.0000 0.0000
V: 0.5000 0.0000 0.5000
Cr: 0.0000 0.5000 0.0000
P: 0.3879 0.6048 0.7473
P: 0.6121 0.3952 0.2527
O: 0.1849 0.6832 0.8713
O: 0.3070 0.3093 0.0916
O: 0.3281 0.3042 0.6316
O: 0.3506 0.7674 0.6135
O: 0.6494 0.2326 0.3865
O: 0.6719 0.6958 0.3684
O: 0.6930 0.6907 0.9084
O: 0.8151 0.3168 0.1287
F: 0.1434 0.8557 0.2312
F: 0.8566 0.1443 0.7688

**Volume**: 12.2 A^3/atom

---

It is (b) that is most stable; the runner-up trails by 0.006 eV/atom.

---

(a)
The following is a DFT calculation (PBE with a Hubbard U) of a relaxed structure of Sr5Cr3O12F.

Cell lengths 10.1603, 10.1603, 7.3189 Å; angles 90.00, 90.00, 120.00 degrees
Element x y z (fractional)
Sr: 0.0008 0.7612 0.2500
Sr: 0.2388 0.2396 0.2500
Sr: 0.2396 0.0008 0.7500
Sr: 0.3333 0.6667 0.0012
Sr: 0.3333 0.6667 0.4988
Sr: 0.6667 0.3333 0.5012
Sr: 0.6667 0.3333 0.9988
Sr: 0.7604 0.9992 0.2500
Sr: 0.7612 0.7604 0.7500
Sr: 0.9992 0.2388 0.7500
Cr: 0.0305 0.6253 0.7500
Cr: 0.3747 0.4052 0.7500
Cr: 0.4052 0.0305 0.2500
Cr: 0.5948 0.9695 0.7500
Cr: 0.6253 0.5948 0.2500
Cr: 0.9695 0.3747 0.2500
O: 0.0919 0.7438 0.5626
O: 0.0919 0.7438 0.9374
O: 0.1300 0.5283 0.7500
O: 0.1645 0.4818 0.2500
O: 0.2562 0.3482 0.5626
O: 0.2562 0.3482 0.9374
O: 0.3173 0.8355 0.2500
O: 0.3482 0.0919 0.0626
O: 0.3482 0.0919 0.4374
O: 0.3983 0.8700 0.7500
O: 0.4717 0.6017 0.7500
O: 0.4818 0.3173 0.7500
O: 0.5182 0.6827 0.2500
O: 0.5283 0.3983 0.2500
O: 0.6017 0.1300 0.2500
O: 0.6518 0.9081 0.5626
O: 0.6518 0.9081 0.9374
O: 0.6827 0.1645 0.7500
O: 0.7438 0.6518 0.0626
O: 0.7438 0.6518 0.4374
O: 0.8355 0.5182 0.7500
O: 0.8700 0.4717 0.2500
O: 0.9081 0.2562 0.0626
O: 0.9081 0.2562 0.4374
F: 0.0000 0.0000 0.0000
F: 0.0000 0.0000 0.5000

**Volume**: 15.6 A^3/atom

---

(b)
The following is a DFT calculation (PBE with a Hubbard U) of a relaxed structure of Sr5Cr3O12F.

Cell lengths 10.0937, 10.0937, 7.5037 Å; angles 90.00, 90.00, 120.00 degrees
Element x y z (fractional)
Sr: 0.0063 0.7576 0.2500
Sr: 0.2424 0.2486 0.2500
Sr: 0.2486 0.0063 0.7500
Sr: 0.3333 0.6667 0.0000
Sr: 0.3333 0.6667 0.5000
Sr: 0.6667 0.3333 0.0000
Sr: 0.6667 0.3333 0.5000
Sr: 0.7514 0.9937 0.2500
Sr: 0.7576 0.7514 0.7500
Sr: 0.9937 0.2424 0.7500
Cr: 0.0294 0.6305 0.7500
Cr: 0.3695 0.3989 0.7500
Cr: 0.3989 0.0294 0.2500
Cr: 0.6011 0.9706 0.7500
Cr: 0.6305 0.6011 0.2500
Cr: 0.9706 0.3695 0.2500
O: 0.0904 0.7474 0.5657
O: 0.0904 0.7474 0.9343
O: 0.1291 0.5321 0.7500
O: 0.1678 0.4785 0.2500
O: 0.2526 0.3430 0.5657
O: 0.2526 0.3430 0.9343
O: 0.3108 0.8322 0.2500
O: 0.3430 0.0904 0.0657
O: 0.3430 0.0904 0.4343
O: 0.4030 0.8709 0.7500
O: 0.4679 0.5970 0.7500
O: 0.4785 0.3108 0.7500
O: 0.5215 0.6892 0.2500
O: 0.5321 0.4030 0.2500
O: 0.5970 0.1291 0.2500
O: 0.6570 0.9096 0.5657
O: 0.6570 0.9096 0.9343
O: 0.6892 0.1678 0.7500
O: 0.7474 0.6570 0.0657
O: 0.7474 0.6570 0.4343
O: 0.8322 0.5215 0.7500
O: 0.8709 0.4679 0.2500
O: 0.9096 0.2526 0.0657
O: 0.9096 0.2526 0.4343
F: 0.0000 0.0000 0.2500
F: 0.0000 0.0000 0.7500

**Volume**: 15.8 A^3/atom

---

It is (b) that is most stable; the runner-up trails by 0.034 eV/atom.

---

(a)
The following is a DFT calculation (PBE with a Hubbard U) of a relaxed structure of Sr5Cr3F19.

Cell lengths 7.3952, 10.8433, 10.9179 Å; angles 84.63, 72.28, 71.98 degrees
Element x y z (fractional)
Sr: 0.0000 0.0000 0.0000
Sr: 0.0010 0.6744 0.8050
Sr: 0.1909 0.8201 0.3015
Sr: 0.3458 0.1738 0.6544
Sr: 0.5264 0.3198 0.1536
Sr: 0.5295 0.9930 0.9626
Sr: 0.5438 0.7743 0.6429
Sr: 0.7068 0.3346 0.7580
Sr: 0.8198 0.6683 0.2029
Sr: 0.9982 0.2157 0.3139
Cr: 0.0520 0.5024 0.4808
Cr: 0.1072 0.3318 0.9659
Cr: 0.4190 0.6626 0.9957
Cr: 0.5497 0.4954 0.4751
Cr: 0.5883 0.0156 0.3149
Cr: 0.9461 0.9800 0.6445
F: 0.0224 0.0109 0.4601
F: 0.0410 0.1142 0.6861
F: 0.0941 0.3318 0.5558
F: 0.1270 0.0313 0.1812
F: 0.1815 0.6533 0.1309
F: 0.1913 0.8384 0.6317
F: 0.2147 0.1473 0.9247
F: 0.2305 0.4354 0.3195
F: 0.2319 0.2967 0.1052
F: 0.2567 0.5522 0.5284
F: 0.2893 0.6965 0.8591
F: 0.3139 0.8472 0.0331
F: 0.3387 0.1505 0.3321
F: 0.3389 0.3475 0.8263
F: 0.4151 0.9602 0.7787
F: 0.4925 0.8830 0.2695
F: 0.5168 0.9807 0.4979
F: 0.5285 0.4768 0.9643
F: 0.5321 0.5418 0.6455
F: 0.5339 0.6510 0.1363
F: 0.5466 0.6706 0.4188
F: 0.5562 0.3253 0.5435
F: 0.6181 0.4383 0.3012
F: 0.6432 0.7048 0.8684
F: 0.6491 0.0605 0.1334
F: 0.6780 0.1884 0.9360
F: 0.6902 0.1162 0.6777
F: 0.6966 0.1535 0.3295
F: 0.8392 0.8411 0.6319
F: 0.8427 0.8070 0.0195
F: 0.8475 0.4527 0.4255
F: 0.8507 0.8849 0.2708
F: 0.8781 0.5739 0.6465
F: 0.8804 0.9390 0.8266
F: 0.8906 0.2833 0.0957
F: 0.9765 0.6701 0.4011
F: 0.9815 0.3528 0.8311
F: 0.9978 0.5173 0.0001

**Volume**: 14.7 A^3/atom

---

(b)
The following is a DFT calculation (PBE with a Hubbard U) of a relaxed structure of Sr5Cr3F19.

Cell lengths 8.7272, 10.1981, 10.2113 Å; angles 83.54, 71.49, 71.71 degrees
Element x y z (fractional)
Sr: 0.0000 0.0000 0.0000
Sr: 0.0044 0.5318 0.5245
Sr: 0.2486 0.5468 0.1200
Sr: 0.3414 0.8541 0.5290
Sr: 0.4245 0.3666 0.6876
Sr: 0.4756 0.1906 0.2894
Sr: 0.5280 0.8597 0.0911
Sr: 0.7245 0.9704 0.6808
Sr: 0.8056 0.4018 0.9613
Sr: 0.9117 0.1845 0.3508
Cr: 0.0187 0.7109 0.8417
Cr: 0.0847 0.1744 0.6414
Cr: 0.2846 0.1860 0.0045
Cr: 0.5158 0.6406 0.7900
Cr: 0.5972 0.5407 0.2901
Cr: 0.8094 0.8280 0.3346
F: 0.0106 0.5289 0.8895
F: 0.0215 0.7432 0.0246
F: 0.0405 0.0318 0.5485
F: 0.0702 0.2246 0.9679
F: 0.1050 0.6671 0.6441
F: 0.1414 0.3366 0.6811
F: 0.1681 0.2381 0.1947
F: 0.2020 0.0329 0.7458
F: 0.2444 0.4180 0.3377
F: 0.2639 0.9989 0.0473
F: 0.2688 0.6732 0.8158
F: 0.2793 0.3739 0.9588
F: 0.3040 0.1339 0.5078
F: 0.3759 0.6759 0.3334
F: 0.3919 0.9648 0.3070
F: 0.4370 0.6979 0.9849
F: 0.4395 0.1375 0.8159
F: 0.4956 0.1304 0.0543
F: 0.5132 0.8243 0.7140
F: 0.5279 0.5811 0.6141
F: 0.5298 0.4066 0.4317
F: 0.5332 0.4551 0.8656
F: 0.5394 0.4387 0.1668
F: 0.6457 0.9928 0.4299
F: 0.6475 0.7097 0.3761
F: 0.6865 0.1932 0.5754
F: 0.6867 0.6273 0.1180
F: 0.7447 0.9064 0.1694
F: 0.7593 0.5711 0.7498
F: 0.7708 0.7883 0.8718
F: 0.7814 0.1788 0.1583
F: 0.8227 0.4165 0.2487
F: 0.8508 0.7829 0.5143
F: 0.8791 0.2039 0.8004
F: 0.9688 0.3054 0.5201
F: 0.9744 0.9312 0.2748
F: 0.9837 0.6498 0.2892
F: 0.9893 0.9034 0.7928

**Volume**: 15.2 A^3/atom

---

It is (a) that is most stable; the runner-up trails by 0.048 eV/atom.

---

(a)
The following is a DFT calculation (PBE with a Hubbard U) of a relaxed structure of Li6Mn3Cr2Fe3O16.

Cell lengths 5.8645, 5.8712, 9.5608 Å; angles 89.42, 89.20, 60.51 degrees
Element x y z (fractional)
Li: 0.0000 0.0000 0.0000
Li: 0.0007 0.4817 0.0032
Li: 0.1703 0.6577 0.5021
Li: 0.4795 0.0003 0.0043
Li: 0.6537 0.6542 0.5036
Li: 0.6597 0.1698 0.5014
Mn: 0.4884 0.9935 0.2731
Mn: 0.6561 0.6573 0.7737
Mn: 0.9964 0.4892 0.2734
Cr: 0.1596 0.1571 0.5463
Cr: 0.4854 0.4956 0.0471
Fe: 0.1588 0.6573 0.7713
Fe: 0.6561 0.1599 0.7715
Fe: 0.9902 0.9948 0.2702
O: 0.1414 0.6614 0.1542
O: 0.1773 0.1437 0.1560
O: 0.3134 0.8628 0.4013
O: 0.3247 0.2998 0.4036
O: 0.3427 0.3436 0.9049
O: 0.3496 0.7914 0.9004
O: 0.4992 0.4996 0.6576
O: 0.5025 0.9774 0.6584
O: 0.6483 0.6777 0.1577
O: 0.6590 0.1481 0.1541
O: 0.7899 0.3527 0.9022
O: 0.8059 0.8425 0.3835
O: 0.8182 0.8190 0.8828
O: 0.8670 0.3153 0.4012
O: 0.9787 0.5040 0.6561
O: 0.9851 0.9859 0.6510

**Volume**: 9.6 A^3/atom

---

(b)
The following is a DFT calculation (PBE with a Hubbard U) of a relaxed structure of Li6Mn3Cr2Fe3O16.

Cell lengths 5.7738, 5.8037, 9.5027 Å; angles 90.58, 90.00, 119.72 degrees
Element x y z (fractional)
Li: 0.0000 0.0000 0.0000
Li: 0.0035 0.4880 0.9959
Li: 0.1734 0.8324 0.4956
Li: 0.4852 0.4875 0.9955
Li: 0.6546 0.3092 0.4926
Li: 0.6617 0.8339 0.4953
Mn: 0.4913 0.4862 0.7254
Mn: 0.6569 0.3133 0.2239
Mn: 0.9960 0.4867 0.7255
Cr: 0.1613 0.3218 0.4506
Cr: 0.4917 0.9836 0.9513
Fe: 0.1637 0.8220 0.2277
Fe: 0.6595 0.8222 0.2273
Fe: 0.9943 0.9903 0.7290
O: 0.1512 0.8082 0.8470
O: 0.1703 0.3404 0.8396
O: 0.3131 0.6257 0.6013
O: 0.3187 0.1837 0.5952
O: 0.3493 0.6968 0.0905
O: 0.3530 0.1495 0.0933
O: 0.4973 0.4808 0.3470
O: 0.5013 0.0009 0.3437
O: 0.6577 0.8092 0.8459
O: 0.6672 0.3329 0.8399
O: 0.7969 0.1496 0.0928
O: 0.8199 0.6390 0.6169
O: 0.8213 0.6416 0.1165
O: 0.8665 0.1853 0.5943
O: 0.9851 0.4818 0.3470
O: 0.9921 0.9837 0.3513

**Volume**: 9.2 A^3/atom

---

It is (a) that is most stable; the runner-up trails by 0.023 eV/atom.

---

(a)
The following is a DFT calculation (PBE with a Hubbard U) of a relaxed structure of Li4Mn3Cr3Fe2O16.

Cell lengths 5.8617, 5.8667, 9.5130 Å; angles 90.22, 90.29, 119.95 degrees
Element x y z (fractional)
Li: 0.0000 0.0000 0.0000
Li: 0.0005 0.0040 0.5009
Li: 0.3408 0.6770 0.6044
Li: 0.6727 0.3479 0.1045
Mn: 0.1712 0.8375 0.2824
Mn: 0.6638 0.8376 0.2823
Mn: 0.8344 0.6662 0.7816
Cr: 0.1711 0.3448 0.2832
Cr: 0.3413 0.1753 0.7831
Cr: 0.8328 0.1721 0.7849
Fe: 0.3284 0.6693 0.0075
Fe: 0.6640 0.3314 0.5063
O: 0.0400 0.5339 0.1605
O: 0.1537 0.3292 0.8958
O: 0.1600 0.8377 0.8970
O: 0.3251 0.1602 0.3976
O: 0.3419 0.6849 0.3887
O: 0.4843 0.9718 0.1631
O: 0.4904 0.5341 0.1597
O: 0.5291 0.4930 0.6582
O: 0.5317 0.0450 0.6627
O: 0.6775 0.3509 0.8913
O: 0.6773 0.8466 0.8924
O: 0.8338 0.1615 0.3972
O: 0.8408 0.6819 0.3928
O: 0.9665 0.4868 0.6636
O: 0.9954 0.9955 0.6865
O: 0.9964 0.9969 0.1869

**Volume**: 10.1 A^3/atom

---

(b)
The following is a DFT calculation (PBE with a Hubbard U) of a relaxed structure of Li4Mn3Cr3Fe2O16.

Cell lengths 5.8398, 5.8398, 9.5428 Å; angles 90.34, 90.34, 59.84 degrees
Element x y z (fractional)
Li: 0.0000 0.0000 0.0000
Li: 0.0012 0.0012 0.5016
Li: 0.3292 0.3292 0.3962
Li: 0.6643 0.6643 0.8958
Mn: 0.1681 0.1681 0.7194
Mn: 0.3385 0.8281 0.2195
Mn: 0.8281 0.3385 0.2195
Cr: 0.1703 0.6578 0.7173
Cr: 0.6578 0.1703 0.7173
Cr: 0.8289 0.8289 0.2189
Fe: 0.3337 0.3337 0.9964
Fe: 0.6660 0.6660 0.4986
O: 0.0020 0.0020 0.3140
O: 0.0022 0.0022 0.8131
O: 0.0355 0.4788 0.8368
O: 0.1614 0.1614 0.1090
O: 0.1650 0.6746 0.1062
O: 0.3264 0.3264 0.6098
O: 0.3266 0.8366 0.6072
O: 0.4788 0.0355 0.8368
O: 0.4803 0.4803 0.8362
O: 0.5147 0.9591 0.3365
O: 0.5166 0.5166 0.3371
O: 0.6608 0.6608 0.1131
O: 0.6746 0.1650 0.1062
O: 0.8366 0.3266 0.6072
O: 0.8384 0.8384 0.6076
O: 0.9591 0.5147 0.3365

**Volume**: 10.0 A^3/atom

---

It is (a) that is most stable; the runner-up trails by 0.010 eV/atom.